Li8Sb7S19 | PBE-GGA | optimized geometry

Output
As for the total magnetization: 0.00 μB per atom. The calculated density comes out at 3.40 Mg/m³. Its space group is C2/c (15). The formation energy comes out at -805 meV/atom.

Lattice parameters (Å, degrees): 8.2516 8.2516 22.4093 85.97 85.97 77.40
Sites, in units of the cell vectors:
Li (0.2340, 0.9941, 0.9947)
Li (0.6143, 0.6100, 0.5629)
Li (0.3900, 0.3857, 0.9371)
Li (0.3857, 0.3900, 0.4371)
Li (0.7660, 0.0059, 0.0053)
Li (0.6100, 0.6143, 0.0629)
Li (0.4464, 0.2457, 0.0973)
Li (0.5536, 0.7543, 0.9027)
Li (0.2981, 0.8609, 0.1390)
Li (0.7019, 0.1391, 0.8610)
Li (0.0059, 0.7660, 0.5053)
Li (0.9941, 0.2340, 0.4947)
Li (0.8609, 0.2981, 0.6390)
Li (0.2457, 0.4464, 0.5973)
Li (0.7543, 0.5536, 0.4027)
Li (0.1391, 0.7019, 0.3610)
S (0.9908, 0.0615, 0.9166)
S (0.4647, 0.1538, 0.3575)
S (0.1563, 0.3105, 0.0377)
S (0.1560, 0.5482, 0.2679)
S (0.8425, 0.9120, 0.2889)
S (0.6345, 0.4524, 0.8726)
S (0.6895, 0.8437, 0.4624)
S (0.7031, 0.3140, 0.0255)
S (0.2969, 0.6860, 0.9745)
S (0.9385, 0.0092, 0.5834)
S (0.8437, 0.6895, 0.9624)
S (0.6500, 0.1841, 0.1790)
S (0.8440, 0.4518, 0.7321)
S (0.0880, 0.1575, 0.2111)
S (0.4518, 0.8440, 0.2321)
S (0.9316, 0.0684, 0.7500)
S (0.5482, 0.1560, 0.7679)
S (0.3655, 0.5476, 0.1274)
S (0.4524, 0.6345, 0.3726)
S (0.0736, 0.4641, 0.4273)
S (0.3105, 0.1563, 0.5376)
S (0.1538, 0.4647, 0.8575)
S (0.3500, 0.8159, 0.8210)
S (0.1841, 0.6500, 0.6790)
S (0.0684, 0.9316, 0.2500)
S (0.6860, 0.2969, 0.4745)
S (0.5359, 0.9264, 0.0727)
S (0.0092, 0.9385, 0.0834)
S (0.4641, 0.0736, 0.9273)
S (0.8159, 0.3500, 0.3210)
S (0.9120, 0.8425, 0.7889)
S (0.9264, 0.5359, 0.5727)
S (0.3140, 0.7031, 0.5255)
S (0.1575, 0.0880, 0.7111)
S (0.5353, 0.8462, 0.6425)
S (0.0615, 0.9908, 0.4166)
S (0.8462, 0.5353, 0.1425)
S (0.5476, 0.3655, 0.6274)
Sb (0.3945, 0.8929, 0.4322)
Sb (0.1026, 0.7602, 0.8873)
Sb (0.1071, 0.6055, 0.0678)
Sb (0.8771, 0.7013, 0.6622)
Sb (0.8974, 0.2398, 0.1127)
Sb (0.1229, 0.2987, 0.3378)
Sb (0.6055, 0.1071, 0.5678)
Sb (0.8929, 0.3945, 0.9322)
Sb (0.7013, 0.8771, 0.1622)
Sb (0.7602, 0.1026, 0.3873)
Sb (0.2987, 0.1229, 0.8378)
Sb (0.5422, 0.4578, 0.7500)
Sb (0.2398, 0.8974, 0.6127)
Sb (0.4578, 0.5422, 0.2500)